Entry 1:
VASP calculation (meta-GGA r2SCAN) on crystalline YSeO3 at its relaxed geometry.

Results
- formation energy (eV/atom) = -2.293
- symmetry = No. 14
- E_tot (eV per atom) = -12.80
- calculated volume (Å³ per atom) = 15.5

abc: 12.2396 5.9385 8.8952
angles: 73.87 90.00 90.00
Element x y z (fractional)
Y 0.5619 0.7606 0.9160
Y 0.9381 0.7606 0.4160
Y 0.2427 0.6357 0.8422
Y 0.2573 0.6357 0.3422
Y 0.7427 0.3643 0.6578
Y 0.7573 0.3643 0.1578
Y 0.0619 0.2394 0.5840
Y 0.4381 0.2394 0.0840
Se 0.8421 0.9570 0.0169
Se 0.6579 0.9570 0.5169
Se 0.9853 0.6319 0.8205
Se 0.5147 0.6319 0.3205
Se 0.4853 0.3681 0.6795
Se 0.0147 0.3681 0.1795
Se 0.3421 0.0430 0.4831
Se 0.1579 0.0430 0.9831
O 0.1783 0.0196 0.7976
O 0.3217 0.0196 0.2976
O 0.9842 0.8654 0.6457
O 0.2753 0.7853 0.5753
O 0.7531 0.7520 0.5073
O 0.5158 0.8654 0.1457
O 0.4047 0.5940 0.9187
O 0.2247 0.7853 0.0753
O 0.7469 0.7520 0.0073
O 0.5889 0.5547 0.7220
O 0.0953 0.5940 0.4187
O 0.0889 0.4453 0.7780
O 0.9111 0.5547 0.2220
O 0.9047 0.4060 0.5813
O 0.4111 0.4453 0.2780
O 0.2531 0.2480 0.9927
O 0.7753 0.2147 0.9247
O 0.5953 0.4060 0.0813
O 0.4842 0.1346 0.8543
O 0.2469 0.2480 0.4927
O 0.7247 0.2147 0.4247
O 0.0158 0.1346 0.3543
O 0.6783 0.9804 0.7024
O 0.8217 0.9804 0.2024


Entry 2:
VASP calculation (meta-GGA r2SCAN) on crystalline Yb2SeO2 at its relaxed geometry.

Results
- formation energy (eV/atom) = -3.506
- symmetry = No. 164
- E_tot (eV per atom) = -23.37
- calculated volume (Å³ per atom) = 16.1

abc: 3.7382 3.7382 6.6709
angles: 90.00 90.00 120.00
Element x y z (fractional)
Yb 0.6667 0.3333 0.7074
Yb 0.3333 0.6667 0.2926
Se 0.0000 0.0000 0.0000
O 0.6667 0.3333 0.3747
O 0.3333 0.6667 0.6253


Entry 3:
VASP calculation (meta-GGA r2SCAN) on crystalline ZnSeO3 at its relaxed geometry.

Results
- formation energy (eV/atom) = -1.204
- symmetry = No. 61
- E_tot (eV per atom) = -9.43
- calculated volume (Å³ per atom) = 13.5

abc: 6.2157 7.2144 12.0121
angles: 90.00 90.00 90.00
Element x y z (fractional)
Zn 0.8648 0.3920 0.5952
Zn 0.3648 0.6080 0.9048
Zn 0.6352 0.8920 0.4048
Zn 0.1352 0.1080 0.0952
Zn 0.1352 0.6080 0.4048
Zn 0.6352 0.3920 0.0952
Zn 0.3648 0.1080 0.5952
Zn 0.8648 0.8920 0.9048
Se 0.8905 0.9546 0.6430
Se 0.3905 0.0454 0.8570
Se 0.6095 0.4546 0.3570
Se 0.1095 0.5454 0.1430
Se 0.1095 0.0454 0.3570
Se 0.6095 0.9546 0.1430
Se 0.3905 0.5454 0.6430
Se 0.8905 0.4546 0.8570
O 0.0193 0.6525 0.9070
O 0.5193 0.3475 0.5930
O 0.4807 0.1525 0.0930
O 0.9807 0.8475 0.4070
O 0.9807 0.3475 0.0930
O 0.4807 0.6525 0.4070
O 0.5193 0.8475 0.9070
O 0.0193 0.1525 0.5930
O 0.6580 0.4695 0.9342
O 0.1580 0.5305 0.5658
O 0.8420 0.9695 0.0658
O 0.3420 0.0305 0.4342
O 0.3420 0.5305 0.0658
O 0.8420 0.4695 0.4342
O 0.1580 0.0305 0.9342
O 0.6580 0.9695 0.5658
O 0.7998 0.0349 0.7671
O 0.2998 0.9651 0.7329
O 0.7002 0.5349 0.2329
O 0.2002 0.4651 0.2671
O 0.2002 0.9651 0.2329
O 0.7002 0.0349 0.2671
O 0.2998 0.4651 0.7671
O 0.7998 0.5349 0.7329


Entry 4:
VASP calculation (meta-GGA r2SCAN) on crystalline Sm2Si2O7 at its relaxed geometry.

Results
- formation energy (eV/atom) = -3.483
- symmetry = No. 2
- E_tot (eV per atom) = -14.28
- calculated volume (Å³ per atom) = 13.5

abc: 5.4027 8.5571 12.8931
angles: 90.60 91.39 92.57
Element x y z (fractional)
Sm 0.2597 0.8955 0.0864
Sm 0.7403 0.1045 0.9136
Sm 0.7643 0.7046 0.2638
Sm 0.2357 0.2954 0.7362
Sm 0.7537 0.5974 0.5924
Sm 0.2463 0.4026 0.4076
Sm 0.2274 0.8238 0.7684
Sm 0.7726 0.1762 0.2316
Si 0.7829 0.4944 0.8213
Si 0.2171 0.5056 0.1787
Si 0.2091 0.7563 0.4814
Si 0.7909 0.2437 0.5186
Si 0.7075 0.7537 0.9730
Si 0.2925 0.2463 0.0270
Si 0.2904 0.0030 0.3201
Si 0.7096 0.9970 0.6799
O 0.7069 0.5766 0.9291
O 0.2931 0.4234 0.0709
O 0.9644 0.8512 0.9468
O 0.0356 0.1488 0.0532
O 0.5467 0.4865 0.7401
O 0.4533 0.5135 0.2599
O 0.4552 0.6565 0.4700
O 0.5448 0.3435 0.5300
O 0.2436 0.9309 0.4338
O 0.7564 0.0691 0.5662
O 0.1099 0.7693 0.5977
O 0.8901 0.2307 0.4023
O 0.8883 0.3239 0.8414
O 0.1117 0.6761 0.1586
O 0.6359 0.7596 0.0934
O 0.3641 0.2404 0.9066
O 0.0084 0.3540 0.5809
O 0.9916 0.6460 0.4191
O 0.5126 0.1424 0.0806
O 0.4874 0.8576 0.9194
O 0.4885 0.0824 0.7392
O 0.5115 0.9176 0.2608
O 0.6178 0.8148 0.6800
O 0.3822 0.1852 0.3200
O 0.9609 0.0302 0.7530
O 0.0391 0.9698 0.2470
O 0.9933 0.4123 0.2370
O 0.0067 0.5877 0.7630


Entry 5:
VASP calculation (meta-GGA r2SCAN) on crystalline Sm2SiO5 at its relaxed geometry.

Results
- formation energy (eV/atom) = -3.620
- symmetry = No. 14
- E_tot (eV per atom) = -15.88
- calculated volume (Å³ per atom) = 13.3

abc: 7.1248 6.8022 9.1924
angles: 72.21 90.00 90.00
Element x y z (fractional)
Sm 0.3517 0.4123 0.3881
Sm 0.6483 0.5877 0.6119
Sm 0.8517 0.0877 0.6119
Sm 0.1483 0.9123 0.3881
Sm 0.3762 0.2655 0.0253
Sm 0.6238 0.7345 0.9747
Sm 0.8762 0.2345 0.9747
Sm 0.1238 0.7655 0.0253
Si 0.9140 0.4583 0.2979
Si 0.0860 0.5417 0.7021
Si 0.4140 0.0417 0.7021
Si 0.5860 0.9583 0.2979
O 0.4313 0.1394 0.2960
O 0.5687 0.8606 0.7040
O 0.9313 0.3606 0.7040
O 0.0687 0.6394 0.2960
O 0.2345 0.0559 0.5947
O 0.7655 0.9441 0.4053
O 0.7345 0.4441 0.4053
O 0.2655 0.5559 0.5947
O 0.1212 0.0489 0.1174
O 0.8788 0.9511 0.8826
O 0.6212 0.4511 0.8826
O 0.3788 0.5489 0.1174
O 0.1367 0.4926 0.8840
O 0.8633 0.5074 0.1160
O 0.6367 0.0074 0.1160
O 0.3633 0.9926 0.8840
O 0.0410 0.2514 0.3654
O 0.9590 0.7486 0.6345
O 0.5410 0.2486 0.6345
O 0.4590 0.7514 0.3654


Entry 6:
VASP calculation (meta-GGA r2SCAN) on crystalline Sr3SiO at its relaxed geometry.

Results
- formation energy (eV/atom) = -1.467
- symmetry = No. 62
- E_tot (eV per atom) = -13.50
- calculated volume (Å³ per atom) = 25.8

abc: 7.1507 7.1302 10.1071
angles: 90.00 90.00 90.00
Element x y z (fractional)
Sr 0.2183 0.7816 0.0306
Sr 0.7183 0.7184 0.4694
Sr 0.2817 0.2816 0.9694
Sr 0.7817 0.2184 0.5306
Sr 0.2183 0.7816 0.4694
Sr 0.7183 0.7184 0.0306
Sr 0.2817 0.2816 0.5306
Sr 0.7817 0.2184 0.9694
Sr 0.5085 0.0588 0.2500
Sr 0.0085 0.4412 0.2500
Sr 0.9915 0.5588 0.7500
Sr 0.4915 0.9412 0.7500
Si 0.9750 0.9947 0.2500
Si 0.4750 0.5053 0.2500
Si 0.5250 0.4947 0.7500
Si 0.0250 0.0053 0.7500
O 0.0000 0.5000 0.5000
O 0.5000 0.0000 0.0000
O 0.5000 0.0000 0.5000
O 0.0000 0.5000 0.0000


Entry 7:
VASP calculation (meta-GGA r2SCAN) on crystalline Tb2SiO5 at its relaxed geometry.

Results
- formation energy (eV/atom) = -3.680
- symmetry = No. 14
- E_tot (eV per atom) = -16.32
- calculated volume (Å³ per atom) = 12.6

abc: 6.9112 6.7040 9.0710
angles: 73.39 90.00 90.00
Element x y z (fractional)
Tb 0.3590 0.4295 0.3800
Tb 0.6410 0.5705 0.6200
Tb 0.8590 0.0705 0.6200
Tb 0.1410 0.9295 0.3800
Tb 0.3746 0.2675 0.0277
Tb 0.6254 0.7325 0.9723
Tb 0.8746 0.2325 0.9723
Tb 0.1254 0.7675 0.0277
Si 0.9115 0.4676 0.2985
Si 0.0885 0.5324 0.7015
Si 0.4115 0.0324 0.7015
Si 0.5885 0.9676 0.2985
O 0.4292 0.1532 0.2933
O 0.5708 0.8468 0.7067
O 0.9292 0.3468 0.7067
O 0.0708 0.6532 0.2933
O 0.2218 0.0322 0.6013
O 0.7782 0.9678 0.3987
O 0.7218 0.4678 0.3987
O 0.2782 0.5322 0.6013
O 0.1185 0.0565 0.1158
O 0.8815 0.9435 0.8842
O 0.6185 0.4435 0.8842
O 0.3815 0.5565 0.1158
O 0.1361 0.4919 0.8857
O 0.8639 0.5081 0.1143
O 0.6361 0.0081 0.1143
O 0.3639 0.9919 0.8857
O 0.0466 0.2651 0.3714
O 0.9534 0.7349 0.6286
O 0.5466 0.2349 0.6286
O 0.4534 0.7651 0.3714


Entry 8:
VASP calculation (meta-GGA r2SCAN) on crystalline VSiO3 at its relaxed geometry.

Results
- formation energy (eV/atom) = -2.676
- symmetry = No. 15
- E_tot (eV per atom) = -10.83
- calculated volume (Å³ per atom) = 10.6

abc: 5.0447 6.5425 6.5425
angles: 93.21 82.21 97.79
Element x y z (fractional)
V 0.2500 0.9070 0.9070
V 0.2500 0.2811 0.2811
V 0.7500 0.0930 0.0930
V 0.7500 0.7189 0.7189
Si 0.7104 0.2079 0.6116
Si 0.2104 0.3884 0.7921
Si 0.7896 0.6116 0.2079
Si 0.2896 0.7921 0.3884
O 0.6476 0.0282 0.7793
O 0.1476 0.2207 0.9718
O 0.8524 0.7793 0.0282
O 0.3524 0.9718 0.2207
O 0.9160 0.4051 0.7047
O 0.4160 0.2953 0.5949
O 0.5840 0.7047 0.4051
O 0.0840 0.5949 0.2953
O 0.8564 0.1451 0.3911
O 0.3564 0.6089 0.8549
O 0.6436 0.3911 0.1451
O 0.1436 0.8549 0.6089


Entry 9:
VASP calculation (meta-GGA r2SCAN) on crystalline Y2SiO5 at its relaxed geometry.

Results
- formation energy (eV/atom) = -3.679
- symmetry = No. 15
- E_tot (eV per atom) = -13.59
- calculated volume (Å³ per atom) = 13.4

abc: 7.9662 7.9662 10.4211
angles: 61.14 61.14 50.08
Element x y z (fractional)
Y 0.7813 0.2920 0.0345
Y 0.7080 0.2187 0.4655
Y 0.2187 0.7080 0.9655
Y 0.2920 0.7813 0.5345
Y 0.2359 0.4807 0.3357
Y 0.5193 0.7641 0.1643
Y 0.7641 0.5193 0.6643
Y 0.4807 0.2359 0.8357
Si 0.7279 0.9090 0.3069
Si 0.0910 0.2721 0.1931
Si 0.2721 0.0910 0.6931
Si 0.9090 0.7279 0.8069
O 0.4224 0.6130 0.1027
O 0.3870 0.5776 0.3973
O 0.5776 0.3870 0.8973
O 0.6130 0.4224 0.6027
O 0.8682 0.7303 0.4362
O 0.2697 0.1318 0.0638
O 0.1318 0.2697 0.5638
O 0.7303 0.8682 0.9362
O 0.5563 0.8504 0.3246
O 0.1496 0.4437 0.1754
O 0.4437 0.1496 0.6754
O 0.8504 0.5563 0.8246
O 0.1669 0.5945 0.8209
O 0.4055 0.8331 0.6791
O 0.8331 0.4055 0.1791
O 0.5945 0.1669 0.3209
O 0.9133 0.9065 0.6403
O 0.0935 0.0867 0.8597
O 0.0867 0.0935 0.3597
O 0.9065 0.9133 0.1403


Entry 10:
VASP calculation (meta-GGA r2SCAN) on crystalline YbSiO3 at its relaxed geometry.

Results
- formation energy (eV/atom) = -2.557
- symmetry = No. 221
- E_tot (eV per atom) = -15.20
- calculated volume (Å³ per atom) = 9.6

abc: 3.6316 3.6316 3.6316
angles: 90.00 90.00 90.00
Element x y z (fractional)
Yb 0.0000 0.0000 0.0000
Si 0.5000 0.5000 0.5000
O 0.5000 0.5000 0.0000
O 0.5000 0.0000 0.5000
O 0.0000 0.5000 0.5000


Entry 11:
VASP calculation (meta-GGA r2SCAN) on crystalline Zn2SiO4 at its relaxed geometry.

Results
- formation energy (eV/atom) = -2.271
- symmetry = No. 148
- E_tot (eV per atom) = -9.48
- calculated volume (Å³ per atom) = 12.5

abc: 8.6351 8.6351 8.6351
angles: 107.86 107.86 107.86
Element x y z (fractional)
Zn 0.6104 0.4394 0.2046
Zn 0.2046 0.6104 0.4394
Zn 0.4394 0.2046 0.6104
Zn 0.3896 0.5606 0.7954
Zn 0.7954 0.3896 0.5606
Zn 0.5606 0.7954 0.3896
Zn 0.8995 0.1251 0.7224
Zn 0.1251 0.7224 0.8995
Zn 0.7224 0.8995 0.1251
Zn 0.1005 0.8749 0.2776
Zn 0.8749 0.2776 0.1005
Zn 0.2776 0.1005 0.8749
Si 0.2348 0.4603 0.0534
Si 0.4603 0.0534 0.2348
Si 0.0534 0.2348 0.4603
Si 0.7652 0.5397 0.9466
Si 0.5397 0.9466 0.7652
Si 0.9466 0.7652 0.5397
O 0.3607 0.3540 0.0339
O 0.0339 0.3607 0.3540
O 0.3540 0.0339 0.3607
O 0.6393 0.6460 0.9661
O 0.9661 0.6393 0.6460
O 0.6460 0.9661 0.6393
O 0.7329 0.6876 0.3999
O 0.3999 0.7329 0.6876
O 0.6876 0.3999 0.7329
O 0.2671 0.3124 0.6001
O 0.6001 0.2671 0.3124
O 0.3124 0.6001 0.2671
O 0.0258 0.9731 0.6907
O 0.6907 0.0258 0.9731
O 0.9731 0.6907 0.0258
O 0.9742 0.0269 0.3093
O 0.3093 0.9742 0.0269
O 0.0269 0.3093 0.9742
O 0.2487 0.5731 0.9332
O 0.5731 0.9332 0.2487
O 0.9332 0.2487 0.5731
O 0.7513 0.4269 0.0668
O 0.4269 0.0668 0.7513
O 0.0668 0.7513 0.4269


Entry 12:
VASP calculation (meta-GGA r2SCAN) on crystalline Zn2SiO4 at its relaxed geometry.

Results
- formation energy (eV/atom) = -2.256
- symmetry = No. 62
- E_tot (eV per atom) = -9.47
- calculated volume (Å³ per atom) = 12.4

abc: 5.0662 6.6570 10.2949
angles: 90.00 90.00 90.00
Element x y z (fractional)
Zn 0.6751 0.9995 0.6553
Zn 0.8249 0.5005 0.1553
Zn 0.3249 0.4995 0.3447
Zn 0.1751 0.0005 0.8447
Zn 0.3249 0.0005 0.3447
Zn 0.1751 0.4995 0.8447
Zn 0.6751 0.5005 0.6553
Zn 0.8249 0.9995 0.1553
Si 0.1768 0.2500 0.5926
Si 0.3232 0.2500 0.0926
Si 0.8232 0.7500 0.4074
Si 0.6768 0.7500 0.9074
O 0.8567 0.2500 0.6117
O 0.6433 0.2500 0.1117
O 0.1433 0.7500 0.3883
O 0.3567 0.7500 0.8883
O 0.2363 0.2500 0.9404
O 0.2637 0.2500 0.4404
O 0.7637 0.7500 0.0596
O 0.7363 0.7500 0.5596
O 0.2944 0.0497 0.6636
O 0.2056 0.4503 0.1636
O 0.7056 0.5497 0.3364
O 0.7944 0.9503 0.8364
O 0.7056 0.9503 0.3364
O 0.7944 0.5497 0.8364
O 0.2944 0.4503 0.6636
O 0.2056 0.0497 0.1636


no.,magnetic moment (μB per formula unit)
1,0.000
2,0.000
3,0.000
4,0.000
5,0.000
6,0.000
7,0.000
8,3.000
9,0.000
10,0.000
11,0.000
12,0.000